Record 1
A plane-wave DFT calculation with meta-GGA r2SCAN was carried out for a relaxed structure of Sr3Eu.

Values from the calculation:
Density: 3089 kg/m³
Symmetry: Pm-3m (221)
Total magnetization: 7.98 μB/f.u.
DFT formation energy: 0.068 eV per atom
Energy above the most stable polymorph in this dataset: 31 meV per atom
DFT total energy: -0.769 Ha/atom

Unit cell a=6.0644 b=6.0644 c=6.0644 alpha=90.00 beta=90.00 gamma=90.00
With the nearest neighbours (Å) after each atom.
Fractional coordinates of all 4 atoms:
Sr: 0.0000 0.0000 0.5000  8 Sr 4.29, 4 Eu 4.29
Sr: 0.0000 0.5000 0.0000  8 Sr 4.29, 4 Eu 4.29
Sr: 0.5000 0.0000 0.0000  8 Sr 4.29, 4 Eu 4.29
Eu: 0.5000 0.5000 0.5000  12 Sr 4.29

=====

Record 2
A plane-wave DFT calculation with meta-GGA r2SCAN was carried out for a relaxed structure of Sr3Eu.

Values from the calculation:
Density: 3156 kg/m³
Symmetry: P6_3/mmc (194)
Total magnetization: 7.32 μB/f.u.
DFT formation energy: 0.037 eV per atom
Energy above the most stable polymorph in this dataset: 0 meV per atom
DFT total energy: -0.770 Ha/atom

Unit cell a=8.5200 b=8.5200 c=6.9446 alpha=90.00 beta=90.00 gamma=120.00
With the nearest neighbours (Å) after each atom.
Fractional coordinates of all 8 atoms:
Sr: 0.1679 0.3358 0.2500  8 Sr 4.23-4.29, 4 Eu 4.24-4.26
Sr: 0.1679 0.8321 0.2500  8 Sr 4.23-4.29, 4 Eu 4.24-4.26
Sr: 0.3358 0.1679 0.7500  8 Sr 4.23-4.29, 4 Eu 4.24-4.26
Sr: 0.6642 0.8321 0.2500  8 Sr 4.23-4.29, 4 Eu 4.24-4.26
Sr: 0.8321 0.1679 0.7500  8 Sr 4.23-4.29, 4 Eu 4.24-4.26
Sr: 0.8321 0.6642 0.7500  8 Sr 4.23-4.29, 4 Eu 4.24-4.26
Eu: 0.3333 0.6667 0.7500  12 Sr 4.24-4.26
Eu: 0.6667 0.3333 0.2500  12 Sr 4.24-4.26

=====

Record 3
A plane-wave DFT calculation with meta-GGA r2SCAN was carried out for a relaxed structure of Sr3Eu.

Values from the calculation:
Density: 3122 kg/m³
Symmetry: I4/mmm (139)
Total magnetization: 8.03 μB/f.u.
DFT formation energy: 0.068 eV per atom
Energy above the most stable polymorph in this dataset: 31 meV per atom
DFT total energy: -0.769 Ha/atom

Unit cell a=7.3931 b=7.3931 c=7.3931 alpha=131.71 beta=131.71 gamma=70.69
With the nearest neighbours (Å) after each atom.
Fractional coordinates of all 4 atoms:
Sr: 0.0000 0.0000 0.0000  8 Sr 4.27, 4 Eu 4.28
Sr: 0.2500 0.7500 0.5000  8 Sr 4.27-4.28, 4 Eu 4.27
Sr: 0.7500 0.2500 0.5000  8 Sr 4.27-4.28, 4 Eu 4.27
Eu: 0.5000 0.5000 0.0000  12 Sr 4.27-4.28

=====

Record 4
A plane-wave DFT calculation with meta-GGA r2SCAN was carried out for a relaxed structure of SrEu.

Values from the calculation:
Density: 3901 kg/m³
Symmetry: P-6m2 (187)
Total magnetization: 8.14 μB/f.u.
DFT formation energy: 0.020 eV per atom
DFT total energy: -0.985 Ha/atom

Unit cell a=4.1427 b=4.1427 c=6.8615 alpha=90.00 beta=90.00 gamma=120.00
With the nearest neighbours (Å) after each atom.
Fractional coordinates of all 2 atoms:
Sr: 0.0000 0.0000 0.0000  6 Sr 4.14, 6 Eu 4.18
Eu: 0.3333 0.6667 0.5000  6 Eu 4.14, 6 Sr 4.18

=====

Record 5
A plane-wave DFT calculation with meta-GGA r2SCAN was carried out for a relaxed structure of SrEuTl2.

Values from the calculation:
Density: 8284 kg/m³
Symmetry: Fm-3m (225)
Total magnetization: 7.13 μB/f.u.
DFT formation energy: -0.531 eV per atom
DFT total energy: -1.490 Ha/atom

Unit cell a=5.6857 b=5.6857 c=5.6857 alpha=60.00 beta=60.00 gamma=60.00
With the nearest neighbours (Å) after each atom.
Fractional coordinates of all 4 atoms:
Sr: 0.0000 0.0000 0.0000  8 Tl 3.48
Eu: 0.5000 0.5000 0.5000  8 Tl 3.48
Tl: 0.2500 0.2500 0.2500  4 Sr 3.48, 4 Eu 3.48
Tl: 0.7500 0.7500 0.7500  4 Sr 3.48, 4 Eu 3.48

=====

Record 6
A plane-wave DFT calculation with meta-GGA r2SCAN was carried out for a relaxed structure of SrYbEu2.

Values from the calculation:
Density: 5750 kg/m³
Symmetry: Fm-3m (225)
Total magnetization: 14.94 μB/f.u.
DFT formation energy: 0.210 eV per atom
DFT total energy: -1.175 Ha/atom

Unit cell a=6.1320 b=6.1320 c=6.1320 alpha=60.00 beta=60.00 gamma=60.00
With the nearest neighbours (Å) after each atom.
Fractional coordinates of all 4 atoms:
Sr: 0.0000 0.0000 0.0000  8 Eu 3.76
Yb: 0.5000 0.5000 0.5000  8 Eu 3.76
Eu: 0.2500 0.2500 0.2500  4 Yb 3.76, 4 Sr 3.76
Eu: 0.7500 0.7500 0.7500  4 Sr 3.76, 4 Yb 3.76

=====

Record 7
A plane-wave DFT calculation with meta-GGA r2SCAN was carried out for a relaxed structure of EuTe.

Values from the calculation:
Density: 6549 kg/m³
Symmetry: Fm-3m (225)
Total magnetization: 7.00 μB/f.u.
DFT formation energy: -1.993 eV per atom
DFT total energy: -1.248 Ha/atom

Unit cell a=4.6454 b=4.6454 c=4.6454 alpha=60.00 beta=60.00 gamma=60.00
With the nearest neighbours (Å) after each atom.
Fractional coordinates of all 2 atoms:
Eu: 0.0000 0.0000 0.0000  6 Te 3.28
Te: 0.5000 0.5000 0.5000  6 Eu 3.28

=====

Record 8
A plane-wave DFT calculation with meta-GGA r2SCAN was carried out for a relaxed structure of EuTe.

Values from the calculation:
Density: 7186 kg/m³
Symmetry: Pm-3m (221)
Total magnetization: 7.00 μB/f.u.
DFT formation energy: -1.705 eV per atom
DFT total energy: -1.237 Ha/atom

Unit cell a=4.0125 b=4.0125 c=4.0125 alpha=90.00 beta=90.00 gamma=90.00
With the nearest neighbours (Å) after each atom.
Fractional coordinates of all 2 atoms:
Eu: 0.0000 0.0000 0.0000  8 Te 3.47
Te: 0.5000 0.5000 0.5000  8 Eu 3.47

=====

Record 9
A plane-wave DFT calculation with meta-GGA r2SCAN was carried out for a relaxed structure of EuTl2.

Values from the calculation:
Density: 10308 kg/m³
Symmetry: P6_3/mmc (194)
Total magnetization: 7.06 μB/f.u.
DFT formation energy: -0.441 eV per atom
DFT total energy: -1.791 Ha/atom

Unit cell a=5.0935 b=5.0935 c=8.0405 alpha=90.00 beta=90.00 gamma=120.00
With the nearest neighbours (Å) after each atom.
Fractional coordinates of all 6 atoms:
Eu: 0.0000 0.0000 0.2500  6 Tl 3.36
Eu: 0.0000 0.0000 0.7500  6 Tl 3.36
Tl: 0.3333 0.6667 0.0473  4 Tl 3.04-3.26, 3 Eu 3.36
Tl: 0.3333 0.6667 0.4527  4 Tl 3.04-3.26, 3 Eu 3.36
Tl: 0.6667 0.3333 0.5473  4 Tl 3.04-3.26, 3 Eu 3.36
Tl: 0.6667 0.3333 0.9527  4 Tl 3.04-3.26, 3 Eu 3.36

=====

Record 10
A plane-wave DFT calculation with meta-GGA r2SCAN was carried out for a relaxed structure of EuTl3.

Values from the calculation:
Density: 11018 kg/m³
Symmetry: Cmcm (63)
Total magnetization: 7.30 μB/f.u.
DFT formation energy: -0.330 eV per atom
DFT total energy: -1.832 Ha/atom

Unit cell a=6.9652 b=6.9652 c=5.4936 alpha=90.00 beta=90.00 gamma=120.08
With the nearest neighbours (Å) after each atom.
Fractional coordinates of all 8 atoms:
Eu: 0.1671 0.8329 0.7500  12 Tl 3.44-3.48
Eu: 0.8329 0.1671 0.2500  12 Tl 3.44-3.48
Tl: 0.1761 0.3375 0.7500  8 Tl 3.37-3.59, 4 Eu 3.44-3.48
Tl: 0.3375 0.1761 0.2500  8 Tl 3.37-3.59, 4 Eu 3.44-3.48
Tl: 0.3383 0.6617 0.2500  8 Tl 3.37-3.59, 4 Eu 3.44-3.48
Tl: 0.6617 0.3383 0.7500  8 Tl 3.37-3.59, 4 Eu 3.44-3.48
Tl: 0.6625 0.8239 0.7500  8 Tl 3.37-3.59, 4 Eu 3.44-3.48
Tl: 0.8239 0.6625 0.2500  8 Tl 3.37-3.59, 4 Eu 3.44-3.48

=====

Record 11
A plane-wave DFT calculation with meta-GGA r2SCAN was carried out for a relaxed structure of EuTl3.

Values from the calculation:
Density: 11028 kg/m³
Symmetry: R-3m (166)
Total magnetization: 7.36 μB/f.u.
DFT formation energy: -0.340 eV per atom
DFT total energy: -1.832 Ha/atom

Unit cell a=4.8657 b=4.8657 c=4.8657 alpha=90.06 beta=90.06 gamma=90.06
With the nearest neighbours (Å) after each atom.
Fractional coordinates of all 4 atoms:
Eu: 0.0000 0.0000 0.0000  12 Tl 3.44
Tl: 0.0000 0.5000 0.5000  8 Tl 3.44, 4 Eu 3.44
Tl: 0.5000 0.0000 0.5000  8 Tl 3.44, 4 Eu 3.44
Tl: 0.5000 0.5000 0.0000  4 Eu 3.44, 8 Tl 3.44

=====

Record 12
A plane-wave DFT calculation with meta-GGA r2SCAN was carried out for a relaxed structure of Eu3Tl.

Values from the calculation:
Density: 8116 kg/m³
Symmetry: P6_3/mmc (194)
Total magnetization: 22.11 μB/f.u.
DFT formation energy: -0.296 eV per atom
DFT total energy: -1.561 Ha/atom

Unit cell a=7.3942 b=7.3942 c=5.7032 alpha=90.00 beta=90.00 gamma=120.00
With the nearest neighbours (Å) after each atom.
Fractional coordinates of all 8 atoms:
Eu: 0.1758 0.3516 0.2500  4 Tl 3.49-3.70, 8 Eu 3.49-3.90
Eu: 0.1758 0.8242 0.2500  4 Tl 3.49-3.70, 8 Eu 3.49-3.90
Eu: 0.3516 0.1758 0.7500  4 Tl 3.49-3.70, 8 Eu 3.49-3.90
Eu: 0.6484 0.8242 0.2500  4 Tl 3.49-3.70, 8 Eu 3.49-3.90
Eu: 0.8242 0.1758 0.7500  4 Tl 3.49-3.70, 8 Eu 3.49-3.90
Eu: 0.8242 0.6484 0.7500  4 Tl 3.49-3.70, 8 Eu 3.49-3.90
Tl: 0.3333 0.6667 0.7500  12 Eu 3.49-3.70
Tl: 0.6667 0.3333 0.2500  12 Eu 3.49-3.70